1.
The following is a DFT calculation (PBE with a Hubbard U) of a relaxed LiFeP3H2O10 crystal.

```
68
Lattice="8.597 0.000 0.000 0.000 11.433 0.000 -4.145 0.000 8.568" Properties=species:S:1:pos:R:3 pbc="T T T"
Li 0.411 1.731 0.705
Li -1.661 3.985 4.989
Li 6.113 7.447 3.579
Li 4.041 9.702 7.863
Fe 0.531 6.929 6.111
Fe 2.603 10.220 1.827
Fe 1.849 1.213 6.741
Fe 3.921 4.504 2.457
P -2.507 6.016 7.026
P -0.435 11.133 2.742
P -1.297 0.338 7.361
P 0.775 5.379 3.077
P 2.249 7.013 1.153
P 0.176 10.136 5.437
P 4.276 1.297 3.131
P 2.203 4.419 7.415
P 3.677 6.054 5.491
P 5.749 11.095 1.207
P 4.887 0.299 5.826
P 6.959 5.417 1.542
H 0.979 1.737 4.141
H -1.093 3.979 8.425
H 3.705 2.638 0.242
H 1.633 3.078 4.526
H 2.819 8.355 4.042
H 0.747 8.794 8.326
H 5.545 7.453 0.143
H 3.473 9.696 4.427
O -2.273 0.963 6.233
O -0.200 4.753 1.949
O -0.340 1.146 2.340
O -2.412 4.570 6.624
O 1.501 6.071 0.056
O -0.572 11.078 4.340
O -1.479 6.982 6.536
O 0.593 10.167 2.252
O 2.013 0.107 0.026
O -0.060 5.610 4.310
O 1.245 6.778 2.429
O -0.827 10.371 6.713
O 2.120 8.438 0.737
O 0.048 8.711 5.021
O 1.124 2.326 4.911
O 3.196 3.391 0.627
O -0.114 1.267 7.479
O 1.958 4.449 3.195
O 2.933 0.698 2.824
O 0.861 5.018 7.108
O 3.591 6.415 1.460
O 1.518 10.734 5.744
O 2.494 6.984 5.373
O 4.566 10.165 1.089
O 1.256 8.042 7.941
O 3.328 9.107 3.657
O 4.404 2.722 3.547
O 2.332 2.994 7.831
O 5.279 1.062 1.855
O 3.207 4.654 6.139
O 4.512 5.823 4.258
O 2.439 11.326 8.542
O 3.859 1.266 6.316
O 5.931 4.450 2.032
O 5.024 0.355 4.228
O 2.951 5.361 8.512
O 6.864 6.863 1.944
O 4.792 10.286 6.228
O 4.652 6.679 6.619
O 6.724 10.470 2.335
```

Space-group type: P2_1/c
Electronic total energy in eV per cell: -449.23
E_form in eV/atom: -2.27
Total moment in μB per cell: 16.00

2.
The following is a DFT calculation (PBE with a Hubbard U) of a relaxed LiFePH2O5 crystal.

```
40
Lattice="9.673 0.000 0.000 0.000 7.901 0.000 -0.572 0.000 5.544" Properties=species:S:1:pos:R:3 pbc="T T T"
Li 1.181 0.254 2.488
Li 0.895 3.697 5.260
Li 8.206 4.204 0.284
Li 7.920 7.647 3.056
Fe 4.265 1.548 3.935
Fe 4.551 2.402 1.163
Fe 4.550 5.499 4.381
Fe 4.836 6.353 1.609
P 2.616 4.151 2.871
P 2.903 7.701 0.099
P 6.199 0.200 5.445
P 6.485 3.750 2.673
H 0.441 4.771 1.686
H 0.155 7.081 4.458
H 0.436 5.857 3.483
H 0.723 5.995 0.711
H 8.379 1.907 4.833
H 8.665 2.044 2.061
H 8.946 0.820 1.086
H 8.660 3.131 3.858
O 0.336 5.074 0.743
O 0.050 6.778 3.515
O 1.144 4.302 3.291
O 1.430 7.550 0.519
O 2.473 0.647 4.340
O 2.759 3.303 1.568
O 3.280 5.566 2.685
O 2.994 6.286 5.457
O 3.719 0.437 1.288
O 3.433 3.514 4.060
O 5.668 4.388 1.484
O 5.382 7.464 4.256
O 6.107 1.615 0.088
O 5.821 2.335 2.860
O 6.342 4.598 3.976
O 6.628 7.254 1.204
O 7.671 0.351 5.025
O 7.957 3.600 2.253
O 9.051 1.123 2.029
O 8.765 2.827 4.801
```

Space-group type: P2_1/c
Electronic total energy in eV per cell: -248.30
E_form in eV/atom: -2.04
Energy above the lowest structure with this stoichiometry in eV per atom: 0.0478
Total moment in μB per cell: 16.00

3.
The following is a DFT calculation (PBE with a Hubbard U) of a relaxed LiFe2P2HO8 crystal.

```
56
Lattice="8.489 0.000 0.000 0.000 5.013 0.000 -1.118 0.000 15.050" Properties=species:S:1:pos:R:3 pbc="T T T"
Li -0.279 0.084 3.763
Li -0.838 4.929 11.288
Li 3.406 0.752 11.288
Li 3.965 4.261 3.763
Fe 0.714 1.191 0.000
Fe 0.155 3.822 7.525
Fe 3.576 1.222 0.028
Fe 3.017 3.791 7.553
Fe 4.355 1.222 7.497
Fe 3.796 3.791 15.022
Fe 7.217 1.191 7.525
Fe 7.776 3.822 0.000
P 1.530 1.313 5.858
P 0.971 3.700 13.383
P 1.548 1.343 9.329
P 2.107 3.670 1.804
P 5.265 1.343 13.247
P 5.823 3.670 5.722
P 6.401 1.313 1.667
P 5.842 3.700 9.192
H 1.732 2.211 3.829
H 1.174 2.802 11.355
H 6.198 2.211 3.696
H 5.639 2.802 11.221
O 0.266 2.042 6.347
O -0.293 2.971 13.872
O 0.267 0.545 8.921
O 0.826 4.468 1.395
O 1.438 1.283 4.275
O 0.879 3.730 11.800
O 0.990 0.168 13.850
O 1.548 4.845 6.325
O 2.111 2.251 1.170
O 1.552 2.762 8.696
O 1.614 1.513 10.866
O 2.173 3.500 3.341
O 2.823 2.061 6.269
O 2.264 2.952 13.794
O 2.840 0.533 8.888
O 3.398 4.480 1.363
O 3.973 0.533 13.687
O 4.532 4.480 6.162
O 5.107 2.061 1.256
O 4.549 2.952 8.781
O 5.198 1.513 11.709
O 5.757 3.500 4.184
O 5.819 2.251 6.355
O 5.261 2.762 13.880
O 5.823 0.168 8.725
O 6.382 4.845 1.200
O 6.492 1.283 3.250
O 5.934 3.730 10.775
O 6.546 0.545 13.655
O 7.105 4.468 6.130
O 7.665 2.042 1.179
O 7.106 2.971 8.704
```

Space-group type: P2/c
Electronic total energy in eV per cell: -376.49
E_form in eV/atom: -2.25
Energy above the lowest structure with this stoichiometry in eV per atom: 0.0385
Total moment in μB per cell: 32.00

4.
The following is a DFT calculation (PBE with a Hubbard U) of a relaxed LiVFeP2H2O10 crystal.

```
34
Lattice="5.221 0.000 0.000 -2.539 6.996 0.000 -1.209 -3.394 9.882" Properties=species:S:1:pos:R:3 pbc="T T T"
Li -0.345 0.013 2.902
Li 1.819 3.589 6.980
V -1.270 3.498 0.000
V 2.006 -1.697 4.941
Fe 0.000 0.000 0.000
Fe 0.737 1.801 4.941
P -1.969 0.878 6.704
P -0.022 6.022 1.752
P 1.496 -2.419 8.130
P 3.442 2.724 3.178
H -0.175 -0.528 5.262
H -0.277 -1.065 9.735
H 1.750 4.667 0.147
H 1.649 4.130 4.620
O -1.673 0.550 8.182
O -1.709 4.087 3.982
O 0.038 2.036 0.157
O -0.449 1.960 3.319
O -2.180 3.666 8.644
O -0.814 1.699 6.130
O 1.143 -0.292 1.668
O 0.607 -0.284 4.710
O 0.011 4.690 0.945
O 1.110 -2.159 6.633
O 0.364 5.762 3.249
O 1.462 -1.088 8.937
O 0.867 3.886 5.172
O 0.330 3.895 8.214
O 2.288 1.903 3.752
O 3.654 -0.064 1.238
O 1.922 1.642 6.563
O 1.435 1.566 9.725
O 3.182 -0.484 5.900
O 3.147 3.052 1.700
```

Space-group type: P-1
Electronic total energy in eV per cell: -229.55
E_form in eV/atom: -2.30
Energy above the lowest structure with this stoichiometry in eV per atom: 0.0062
Total moment in μB per cell: 12.00

5.
The following is a DFT calculation (PBE with a Hubbard U) of a relaxed LiVFeP2H2O10 crystal.

```
34
Lattice="5.209 0.000 0.000 -1.943 7.162 0.000 -1.797 -2.967 9.644" Properties=species:S:1:pos:R:3 pbc="T T T"
Li -0.351 2.027 2.116
Li 1.821 2.167 7.529
V -0.547 -0.475 7.218
V 2.017 4.669 2.426
Fe 0.000 0.000 0.000
Fe 0.735 2.097 4.822
P -1.951 3.968 5.448
P -1.027 2.272 9.030
P 2.497 1.922 0.614
P 3.421 0.226 4.196
H -0.996 5.366 1.480
H -0.175 4.001 3.435
H 1.645 0.193 6.209
H 2.466 -1.171 8.165
O -1.888 5.790 1.521
O -1.979 4.405 3.937
O -0.452 0.851 3.755
O -1.418 1.070 8.117
O -2.163 3.295 8.815
O 0.288 -1.918 6.303
O -0.812 2.976 5.641
O 1.120 1.364 1.006
O 0.761 4.807 0.894
O 0.615 3.443 3.227
O 0.855 0.752 6.417
O 0.709 -0.613 8.750
O 0.349 2.831 8.638
O 2.282 1.218 4.003
O 1.182 6.112 3.341
O 3.633 0.900 0.829
O 2.888 3.124 1.527
O 1.922 3.344 5.889
O 3.449 -0.211 5.707
O 3.358 -1.595 8.123
```

Space-group type: P-1
Electronic total energy in eV per cell: -229.59
E_form in eV/atom: -2.30
Energy above the lowest structure with this stoichiometry in eV per atom: 0.0051
Total moment in μB per cell: 12.00

6.
The following is a DFT calculation (PBE with a Hubbard U) of a relaxed LiVFeP2H2O10 crystal.

```
51
Lattice="5.210 0.000 0.000 -1.962 7.097 0.000 -1.049 -0.795 14.446" Properties=species:S:1:pos:R:3 pbc="T T T"
Li 0.000 0.000 0.000
Li -0.695 3.983 4.205
Li 0.035 6.088 9.036
V -0.860 1.628 9.336
V -0.149 3.645 14.144
V 1.652 6.632 4.504
Fe -0.347 1.988 2.107
Fe 0.392 4.061 6.920
Fe 1.117 6.187 11.736
P -1.409 4.328 11.123
P 0.397 0.948 12.356
P 2.359 0.129 1.507
P 2.156 3.849 2.702
P 3.077 2.224 6.306
P 2.887 5.986 7.528
H 0.602 0.269 3.581
H -0.523 5.968 5.521
H 1.346 2.307 8.420
H 2.166 0.981 10.350
H 2.027 4.302 13.128
H 3.912 3.710 0.636
O -2.291 6.394 6.014
O -1.687 3.052 10.272
O -0.299 0.674 3.583
O -0.936 0.324 12.797
O -0.807 2.858 5.854
O -0.398 3.303 0.628
O 0.001 0.097 8.437
O -1.388 3.913 12.637
O -1.178 4.983 7.774
O 1.204 1.120 1.263
O 0.375 1.360 10.846
O 0.062 6.011 0.592
O 0.456 2.737 8.453
O 0.776 3.273 3.090
O 0.267 5.404 5.318
O -0.075 4.954 10.682
O 0.674 2.230 13.206
O 0.379 6.780 3.009
O 1.552 -0.023 12.579
O 1.933 3.211 6.099
O 2.172 4.295 1.205
O 2.789 0.951 5.449
O 1.503 5.437 7.905
O 1.239 4.866 13.335
O 2.951 0.412 10.142
O 3.741 0.703 1.126
O 2.490 5.065 3.623
O 3.112 1.794 7.810
O 3.314 2.863 2.953
O 2.651 5.306 10.901
```

Space-group type: P1
Electronic total energy in eV per cell: -344.28
E_form in eV/atom: -2.30
Energy above the lowest structure with this stoichiometry in eV per atom: 0.0072
Total moment in μB per cell: 18.00

7.
The following is a DFT calculation (PBE with a Hubbard U) of a relaxed LiVFeP2H2O10 crystal.

```
34
Lattice="-5.144 1.342 0.147 -2.621 -0.790 6.907 3.849 8.145 5.432" Properties=species:S:1:pos:R:3 pbc="T T T"
Li -2.498 0.732 1.226
Li -0.575 4.803 3.942
V -2.928 2.288 4.911
V -1.004 6.361 7.627
Fe -5.806 4.625 9.746
Fe -7.728 0.554 7.028
P -0.349 1.803 2.829
P 1.575 5.875 5.545
P -3.543 6.905 9.698
P -5.467 2.833 6.983
H -4.514 0.689 2.497
H -2.590 4.760 5.213
H 0.398 8.008 10.058
H -1.527 3.935 7.342
O -3.258 0.442 5.403
O -1.333 4.514 8.118
O -4.454 2.175 3.625
O -2.531 6.246 6.341
O -2.192 7.066 8.931
O -4.116 2.992 6.218
O -0.576 1.347 1.372
O 1.348 5.420 4.088
O 0.125 3.261 2.951
O 2.050 7.334 5.667
O -3.972 5.425 9.685
O -5.896 1.353 6.969
O -3.347 7.371 11.140
O -5.273 3.299 8.425
O -1.748 1.653 3.502
O 0.176 5.726 6.218
O 0.534 6.477 8.860
O -1.391 2.404 6.144
O -0.552 8.281 7.113
O -2.477 4.208 4.397
```

Electronic total energy in eV per cell: -229.76
E_form in eV/atom: -2.30
Energy above the lowest structure with this stoichiometry in eV per atom: 0.0000
Total moment in μB per cell: 0.00

8.
The following is a DFT calculation (PBE with a Hubbard U) of a relaxed LiVFeP2H2O10 crystal.

```
51
Lattice="5.305 0.000 0.000 -2.556 6.964 0.000 -0.552 -1.788 14.608" Properties=species:S:1:pos:R:3 pbc="T T T"
Li 0.000 0.000 0.000
Li -1.817 6.292 4.226
Li 1.465 1.062 9.080
V -0.911 3.150 2.111
V -0.174 4.848 7.010
V 3.110 -0.365 11.851
Fe -1.203 2.297 9.444
Fe -0.445 3.925 14.251
Fe 3.377 0.572 4.566
P -0.260 -0.118 7.225
P -2.113 4.632 11.611
P 0.471 1.597 12.090
P 1.717 1.148 1.881
P 1.764 5.146 2.341
P 2.453 2.883 6.757
H -1.159 2.934 4.590
H -1.214 1.571 14.241
H -0.427 4.660 9.478
H 0.195 5.062 4.532
H 2.740 -0.558 14.317
H 3.472 -0.174 9.384
O -2.048 3.274 10.906
O -1.073 2.277 3.856
O -0.324 0.035 5.697
O -1.660 3.790 6.287
O -0.726 0.725 12.612
O -2.043 4.483 13.143
O -0.745 4.019 0.369
O -0.281 1.225 7.982
O 0.367 1.811 1.463
O 1.096 -0.765 7.647
O -0.811 6.799 1.073
O -0.352 3.998 8.741
O 0.399 1.745 10.558
O -0.915 5.506 11.094
O 1.757 0.863 3.390
O 0.571 4.250 2.808
O -0.115 5.741 5.182
O 0.408 2.954 12.798
O 1.129 3.605 6.368
O 1.808 0.893 12.474
O 2.528 1.557 5.993
O 3.039 -1.240 13.665
O 2.909 2.049 1.420
O 1.723 5.431 0.834
O 1.284 5.981 7.729
O 2.493 2.606 8.270
O 3.181 0.510 10.042
O 1.739 6.461 3.152
O 1.855 5.339 11.232
O 3.113 4.486 2.765
```

Space-group type: P1
Electronic total energy in eV per cell: -344.46
E_form in eV/atom: -2.30
Energy above the lowest structure with this stoichiometry in eV per atom: 0.0037
Total moment in μB per cell: 18.00